No. 1
Compound: La3Hg
Source: the Materials Project
Functional: r2SCAN
Structure: optimized geometry

Lattice parameters (Å, degrees): 6.2443 6.2443 6.2443 133.68 133.68 67.59
Closest atoms and distances in Å follow each position.
Element x y z (fractional)
La: 0.5000 0.5000 0.0000  4 Hg 3.47, 8 La 3.57
La: 0.7500 0.2500 0.5000  8 La 3.47-3.57, 4 Hg 3.57
La: 0.2500 0.7500 0.5000  8 La 3.47-3.57, 4 Hg 3.57
Hg: 0.0000 0.0000 0.0000  12 La 3.47-3.57

formation energy = -240 meV/atom
E above lowest polymorph = 0.0146 eV per atom

No. 2
Compound: Ti4NiBi2
Source: the Materials Project
Functional: r2SCAN
Structure: optimized geometry

Lattice parameters (Å, degrees): 4.7821 7.9081 7.9081 84.75 72.40 72.40
Closest atoms and distances in Å follow each position.
Element x y z (fractional)
Ti: 0.5803 0.7236 0.1158  2 Ni 2.56
Ti: 0.3039 0.1158 0.2764  2 Ni 2.56
Ti: 0.4197 0.2764 0.8842  2 Ni 2.56
Ti: 0.0803 0.1158 0.7236  2 Ni 2.56
Ti: 0.6961 0.8842 0.7236  2 Ni 2.56
Ti: 0.8039 0.2764 0.1158  2 Ni 2.56
Ti: 0.1961 0.7236 0.8842  2 Ni 2.56
Ti: 0.9197 0.8842 0.2764  2 Ni 2.56
Bi: 0.6421 0.2159 0.5000  8 Ti 2.93-3.02
Bi: 0.3579 0.7841 0.5000  8 Ti 2.93-3.02
Bi: 0.8579 0.5000 0.7841  8 Ti 2.93-3.02
Bi: 0.1421 0.5000 0.2159  8 Ti 2.93-3.02
Ni: 0.7500 0.0000 0.0000  2 Ni 2.39, 8 Ti 2.56
Ni: 0.2500 0.0000 0.0000  2 Ni 2.39, 8 Ti 2.56

formation energy = -312 meV/atom

No. 3
Compound: ScCdNi4
Source: the Materials Project
Functional: r2SCAN
Structure: optimized geometry

Lattice parameters (Å, degrees): 4.8232 4.8232 4.8232 60.00 60.00 60.00
Closest atoms and distances in Å follow each position.
Element x y z (fractional)
Ni: 0.6256 0.6256 0.1233  6 Ni 2.40-2.42
Ni: 0.6256 0.1233 0.6256  6 Ni 2.40-2.42
Ni: 0.6256 0.6256 0.6256  6 Ni 2.40-2.42
Ni: 0.1233 0.6256 0.6256  6 Ni 2.40-2.42
Sc: 0.2500 0.2500 0.2500  12 Ni 2.83, 4 Cd 2.95
Cd: 0.0000 0.0000 0.0000  12 Ni 2.83, 4 Sc 2.95

formation energy = -332 meV/atom

No. 4
Compound: LiCu2F7
Source: the Materials Project
Functional: r2SCAN
Structure: optimized geometry

Lattice parameters (Å, degrees): 4.9199 6.4221 6.9916 92.80 90.00 112.52
Closest atoms and distances in Å follow each position.
Element x y z (fractional)
Li: 0.0443 0.0940 0.8676  4 F 1.82-2.02
Li: 0.0503 0.0933 0.3676  4 F 1.82-2.02
Cu: 0.3418 0.7015 0.7698  6 F 1.82-1.95
Cu: 0.6322 0.2859 0.6982  6 F 1.84-1.95
Cu: 0.6547 0.2859 0.1984  6 F 1.84-1.95
Cu: 0.3592 0.7014 0.2698  6 F 1.82-1.95
F: 0.2478 0.1423 0.6136  1 Cu 1.84, 2 Li 1.93-2.02
F: 0.9579 0.5663 0.1694  2 Cu 1.87-1.94
F: 0.0315 0.4095 0.7988  2 Cu 1.93, 1 Li 2.13
F: 0.7284 0.8300 0.3739  1 Cu 1.82, 1 Li 1.82
F: 0.8944 0.1420 0.1133  1 Cu 1.84, 2 Li 1.93-2.02
F: 0.7950 0.2767 0.4508  2 Cu 1.91, 1 Li 2.09
F: 0.3385 0.9951 0.2404  2 Cu 1.95, 1 Li 1.96
F: 0.5017 0.6993 0.0176  2 Cu 1.90-1.91
F: 0.4822 0.2768 0.9508  2 Cu 1.91-1.92, 1 Li 2.09
F: 0.1966 0.6991 0.5176  2 Cu 1.90-1.91
F: 0.6565 0.9951 0.7403  2 Cu 1.95, 1 Li 1.96
F: 0.6079 0.5663 0.6694  2 Cu 1.87-1.94
F: 0.1010 0.8300 0.8740  1 Cu 1.82, 1 Li 1.82
F: 0.3780 0.4095 0.2986  2 Cu 1.93-1.94, 1 Li 2.13

formation energy = -1917 meV/atom